# 1
Computed, not measured: a geometry-optimized LiCrP2O7 structure at the PBE with a Hubbard U level of DFT.

Summary:
Electronic total energy: -7.03 eV per atom
Symmetry: No. 15
Formation enthalpy at 0 K: -2.460 eV per atom

Cell lengths 7.842, 7.842, 10.590 Å; angles 89.56, 89.56, 116.14 degrees
Element x y z (fractional)
Li 0.287 0.718 0.499
Li 0.713 0.282 0.501
Li 0.282 0.713 0.001
Li 0.718 0.287 0.999
Cr 0.310 0.308 0.111
Cr 0.308 0.310 0.611
Cr 0.692 0.690 0.389
Cr 0.690 0.692 0.889
P 0.288 0.083 0.370
P 0.917 0.712 0.130
P 0.317 0.093 0.867
P 0.683 0.907 0.133
P 0.083 0.288 0.870
P 0.093 0.317 0.367
P 0.712 0.917 0.630
P 0.907 0.683 0.633
O 0.119 0.754 0.119
O 0.881 0.246 0.881
O 0.910 0.894 0.619
O 0.792 0.586 0.019
O 0.197 0.399 0.240
O 0.620 0.815 0.757
O 0.208 0.414 0.981
O 0.601 0.803 0.260
O 0.803 0.601 0.760
O 0.102 0.701 0.623
O 0.299 0.898 0.877
O 0.106 0.090 0.881
O 0.894 0.910 0.119
O 0.380 0.185 0.243
O 0.771 0.567 0.523
O 0.567 0.771 0.023
O 0.185 0.380 0.743
O 0.399 0.197 0.740
O 0.433 0.229 0.977
O 0.754 0.119 0.619
O 0.229 0.433 0.477
O 0.586 0.792 0.519
O 0.090 0.106 0.381
O 0.414 0.208 0.481
O 0.246 0.881 0.381
O 0.701 0.102 0.123
O 0.815 0.620 0.257
O 0.898 0.299 0.377

=====

# 2
Computed, not measured: a geometry-optimized Li2CrP3O10 structure at the PBE with a Hubbard U level of DFT.

Summary:
Electronic total energy: -7.01 eV per atom
Symmetry: No. 15
Formation enthalpy at 0 K: -2.612 eV per atom

Cell lengths 7.982, 7.982, 9.571 Å; angles 57.60, 57.60, 53.56 degrees
Element x y z (fractional)
Li 0.717 0.742 0.959
Li 0.742 0.717 0.459
Li 0.258 0.283 0.541
Li 0.283 0.258 0.041
Cr 0.336 0.664 0.750
Cr 0.664 0.336 0.250
P 0.803 0.433 0.816
P 0.433 0.803 0.316
P 0.957 0.043 0.750
P 0.043 0.957 0.250
P 0.567 0.197 0.684
P 0.197 0.567 0.184
O 0.979 0.808 0.844
O 0.808 0.979 0.344
O 0.557 0.982 0.804
O 0.716 0.466 0.990
O 0.633 0.595 0.717
O 0.982 0.557 0.304
O 0.825 0.183 0.878
O 0.466 0.716 0.490
O 0.595 0.633 0.217
O 0.817 0.175 0.622
O 0.183 0.825 0.378
O 0.405 0.367 0.783
O 0.534 0.284 0.510
O 0.175 0.817 0.122
O 0.018 0.443 0.696
O 0.367 0.405 0.283
O 0.284 0.534 0.010
O 0.443 0.018 0.196
O 0.192 0.021 0.656
O 0.021 0.192 0.156

=====

# 3
Computed, not measured: a geometry-optimized LiCrPO4 structure at the PBE with a Hubbard U level of DFT.

Summary:
Electronic total energy: -7.11 eV per atom
Symmetry: No. 15
Formation enthalpy at 0 K: -2.535 eV per atom

Cell lengths 5.066, 5.066, 16.795 Å; angles 88.89, 88.89, 88.58 degrees
Element x y z (fractional)
Li 0.447 0.841 0.441
Li 0.841 0.447 0.941
Li 0.159 0.553 0.059
Li 0.553 0.159 0.559
Cr 0.660 0.837 0.251
Cr 0.837 0.660 0.751
Cr 0.163 0.340 0.249
Cr 0.340 0.163 0.749
P 0.686 0.353 0.134
P 0.353 0.686 0.634
P 0.647 0.314 0.366
P 0.314 0.647 0.866
O 0.843 0.522 0.197
O 0.522 0.843 0.697
O 0.941 0.256 0.346
O 0.788 0.429 0.052
O 0.568 0.614 0.353
O 0.256 0.941 0.846
O 0.429 0.788 0.552
O 0.614 0.568 0.853
O 0.386 0.432 0.147
O 0.571 0.212 0.448
O 0.744 0.059 0.154
O 0.432 0.386 0.647
O 0.212 0.571 0.948
O 0.059 0.744 0.654
O 0.478 0.157 0.303
O 0.157 0.478 0.803

=====

# 4
Computed, not measured: a geometry-optimized Li3CrP8O24 structure at the PBE with a Hubbard U level of DFT.

Summary:
Electronic total energy: -6.91 eV per atom
Symmetry: No. 5
Formation enthalpy at 0 K: -2.494 eV per atom

Cell lengths 7.287, 7.287, 10.025 Å; angles 66.76, 66.76, 70.12 degrees
Element x y z (fractional)
Li 0.052 0.948 0.500
Li 0.486 0.996 0.257
Li 0.004 0.514 0.743
Cr 0.948 0.052 0.000
P 0.264 0.742 0.779
P 0.686 0.700 0.560
P 0.258 0.736 0.221
P 0.304 0.292 0.954
P 0.300 0.314 0.440
P 0.753 0.275 0.269
P 0.725 0.247 0.731
P 0.708 0.696 0.046
O 0.117 0.263 0.938
O 0.920 0.165 0.340
O 0.540 0.302 0.401
O 0.157 0.915 0.847
O 0.085 0.843 0.153
O 0.733 0.187 0.161
O 0.233 0.502 0.303
O 0.467 0.715 0.082
O 0.813 0.267 0.839
O 0.815 0.647 0.901
O 0.490 0.231 0.814
O 0.287 0.812 0.328
O 0.188 0.713 0.672
O 0.353 0.185 0.099
O 0.835 0.080 0.660
O 0.276 0.123 0.431
O 0.877 0.724 0.569
O 0.645 0.807 0.409
O 0.737 0.883 0.062
O 0.193 0.355 0.591
O 0.769 0.510 0.186
O 0.698 0.460 0.599
O 0.498 0.767 0.697
O 0.285 0.533 0.918